[1]
Density functional theory data (PBE+U) for a relaxed structure of MgV4O7F5.

Mass density (g/cm3): 3.37

a b c (Å): 5.2955 5.6604 7.1753
angles (deg): 92.92 90.70 91.70
Space group P1 (No. 1)
One atom of each set of equivalent atoms:
Mg  0.0000  0.0000  0.0000 (multiplicity 1)
V  0.0433  0.5726  0.2218 (multiplicity 1)
V  0.4749  0.1473  0.7278 (multiplicity 1)
V  0.5136  0.0789  0.2192 (multiplicity 1)
V  0.9607  0.6033  0.7064 (multiplicity 1)
O  0.0405  0.6420  0.9612 (multiplicity 1)
O  0.3033  0.4275  0.2593 (multiplicity 1)
O  0.3587  0.1175  0.9831 (multiplicity 1)
O  0.5434  0.1130  0.4560 (multiplicity 1)
O  0.6693  0.3922  0.7556 (multiplicity 1)
O  0.6963  0.8493  0.1649 (multiplicity 1)
O  0.9012  0.6048  0.4669 (multiplicity 1)
F  0.1593  0.3128  0.6817 (multiplicity 1)
F  0.1795  0.9127  0.2580 (multiplicity 1)
F  0.2647  0.8428  0.6771 (multiplicity 1)
F  0.7744  0.9299  0.7738 (multiplicity 1)
F  0.8202  0.2813  0.1431 (multiplicity 1)


[2]
Density functional theory data (PBE+U) for a relaxed structure of Na7Mg7Fe5P12O48.

Mass density (g/cm3): 3.27

a b c (Å): 8.6476 9.2703 12.1726
angles (deg): 106.75 96.08 104.43
Space group P1 (No. 1)
One atom of each set of equivalent atoms:
Na  0.0000  0.0000  0.0000 (multiplicity 1)
Na  0.0003  0.4970  0.4985 (multiplicity 1)
Na  0.4797  0.6288  0.1206 (multiplicity 1)
Na  0.5050  0.8728  0.3889 (multiplicity 1)
Na  0.5073  0.3567  0.8734 (multiplicity 1)
Na  0.9965  0.7483  0.7500 (multiplicity 1)
Na  0.9992  0.2474  0.2472 (multiplicity 1)
Mg  0.1242  0.4009  0.9640 (multiplicity 1)
Mg  0.2287  0.5048  0.7427 (multiplicity 1)
Mg  0.2330  0.0102  0.2411 (multiplicity 1)
Mg  0.4365  0.4926  0.3694 (multiplicity 1)
Mg  0.5579  0.0003  0.1314 (multiplicity 1)
Mg  0.7598  0.9925  0.7591 (multiplicity 1)
Mg  0.7615  0.4844  0.2577 (multiplicity 1)
Fe  0.1301  0.9047  0.4691 (multiplicity 1)
Fe  0.4362  0.9942  0.8747 (multiplicity 1)
Fe  0.5551  0.4937  0.6247 (multiplicity 1)
Fe  0.8719  0.0929  0.5371 (multiplicity 1)
Fe  0.8742  0.5909  0.0348 (multiplicity 1)
P  0.1503  0.1223  0.7527 (multiplicity 1)
P  0.1498  0.6235  0.2513 (multiplicity 1)
P  0.2067  0.2669  0.4800 (multiplicity 1)
P  0.2085  0.7661  0.9814 (multiplicity 1)
P  0.3696  0.7589  0.6136 (multiplicity 1)
P  0.3748  0.2638  0.1092 (multiplicity 1)
P  0.6241  0.7318  0.8871 (multiplicity 1)
P  0.6248  0.2313  0.3909 (multiplicity 1)
P  0.7870  0.7274  0.5190 (multiplicity 1)
P  0.7884  0.2260  0.0209 (multiplicity 1)
P  0.8435  0.3753  0.7486 (multiplicity 1)
P  0.8447  0.8714  0.2500 (multiplicity 1)
O  0.0148  0.0283  0.7985 (multiplicity 1)
O  0.0192  0.5290  0.3008 (multiplicity 1)
O  0.0271  0.2500  0.4952 (multiplicity 1)
O  0.0269  0.7504  0.9907 (multiplicity 1)
O  0.0927  0.5713  0.1157 (multiplicity 1)
O  0.0972  0.0651  0.6149 (multiplicity 1)
O  0.1714  0.8067  0.3053 (multiplicity 1)
O  0.1762  0.3029  0.7991 (multiplicity 1)
O  0.2258  0.6712  0.6560 (multiplicity 1)
O  0.2311  0.1745  0.1522 (multiplicity 1)
O  0.2317  0.3544  0.3918 (multiplicity 1)
O  0.2335  0.8597  0.8940 (multiplicity 1)
O  0.2336  0.1014  0.4287 (multiplicity 1)
O  0.2387  0.6045  0.9278 (multiplicity 1)
O  0.3164  0.8447  0.5300 (multiplicity 1)
O  0.3174  0.0963  0.7858 (multiplicity 1)
O  0.3172  0.3626  0.6030 (multiplicity 1)
O  0.3173  0.8583  0.1041 (multiplicity 1)
O  0.3216  0.6055  0.2781 (multiplicity 1)
O  0.3270  0.3556  0.0298 (multiplicity 1)
O  0.4525  0.1382  0.0395 (multiplicity 1)
O  0.4535  0.6397  0.5457 (multiplicity 1)
O  0.4917  0.1042  0.2891 (multiplicity 1)
O  0.4940  0.6017  0.7815 (multiplicity 1)
O  0.4985  0.8869  0.7199 (multiplicity 1)
O  0.5065  0.3871  0.2148 (multiplicity 1)
O  0.5406  0.8512  0.9550 (multiplicity 1)
O  0.5441  0.3523  0.4618 (multiplicity 1)
O  0.6721  0.1332  0.8973 (multiplicity 1)
O  0.6728  0.8883  0.2233 (multiplicity 1)
O  0.6739  0.3973  0.7176 (multiplicity 1)
O  0.6744  0.6400  0.9683 (multiplicity 1)
O  0.6780  0.6365  0.3969 (multiplicity 1)
O  0.6834  0.1394  0.4683 (multiplicity 1)
O  0.7568  0.3921  0.0694 (multiplicity 1)
O  0.7570  0.8923  0.5721 (multiplicity 1)
O  0.7577  0.6369  0.6075 (multiplicity 1)
O  0.7589  0.1404  0.1101 (multiplicity 1)
O  0.7668  0.3225  0.3485 (multiplicity 1)
O  0.7673  0.8203  0.8448 (multiplicity 1)
O  0.8252  0.6891  0.1967 (multiplicity 1)
O  0.8270  0.1940  0.6989 (multiplicity 1)
O  0.8925  0.4284  0.8844 (multiplicity 1)
O  0.9019  0.9240  0.3871 (multiplicity 1)
O  0.9636  0.2407  0.0052 (multiplicity 1)
O  0.9687  0.7457  0.5118 (multiplicity 1)
O  0.9754  0.9670  0.2017 (multiplicity 1)
O  0.9759  0.4696  0.7009 (multiplicity 1)


[3]
Density functional theory data (PBE+U) for a relaxed structure of Mg14VZnO16.

Mass density (g/cm3): 3.78

a b c (Å): 8.5495 8.5495 4.2818
angles (deg): 90.00 90.00 90.00
Space group P4/mmm (No. 123)
One atom of each set of equivalent atoms:
Mg  0.0000  0.2501  0.0000 (multiplicity 4)
Mg  0.0000  0.5000  0.5000 (multiplicity 2)
Mg  0.2490  0.5000  0.0000 (multiplicity 4)
Mg  0.2495  0.2495  0.5000 (multiplicity 4)
V  0.5000  0.5000  0.5000 (multiplicity 1)
Zn  0.0000  0.0000  0.5000 (multiplicity 1)
O  0.0000  0.0000  0.0000 (multiplicity 1)
O  0.0000  0.2531  0.5000 (multiplicity 4)
O  0.0000  0.5000  0.0000 (multiplicity 2)
O  0.2452  0.5000  0.5000 (multiplicity 4)
O  0.2500  0.2500  0.0000 (multiplicity 4)
O  0.5000  0.5000  0.0000 (multiplicity 1)


| no. | volume (A^3/atom) | VASP energy (Ry/atom) |
| --- | --- | --- |
| 1 | 12.63 | -0.4903 |
| 2 | 11.24 | -0.4964 |
| 3 | 9.78 | -0.4412 |